LiNi4P6O21 after structural relaxation. Source: the Materials Project database, functional PBE with a Hubbard U.

abc: 7.6050 22.0078 12.2017
angles: 90.00 128.31 90.00
With the nearest neighbours (Å) after each atom.
Space group P2_1/c (No. 14)
Unique sites:
Li 0.2498 0.1137 0.2210  3 O 1.97-2.01
Ni 0.1770 0.5066 0.2417  5 O 1.95-2.11
Ni 0.2218 0.5072 0.7666  5 O 1.98-2.14
Ni 0.2922 0.7446 0.7225  5 O 1.94-2.09
Ni 0.3321 0.2394 0.7912  5 O 1.92-2.14
P 0.0747 0.1440 0.3412  4 O 1.52-1.61
P 0.2062 0.6995 0.9443  4 O 1.50-1.59
P 0.2396 0.1864 0.0051  4 O 1.51-1.64
P 0.2775 0.5614 0.0313  4 O 1.51-1.58
P 0.2833 0.0466 0.0293  4 O 1.51-1.63
P 0.4028 0.1120 0.6663  4 O 1.52-1.61
O 0.0040 0.7041 0.5766  1 P 1.51
O 0.0162 0.0835 0.2602  1 P 1.55
O 0.0341 0.2175 0.6323  1 P 1.50
O 0.1213 0.0347 0.8711  1 P 1.54
O 0.1375 0.6769 0.2056  1 P 1.52
O 0.1623 0.5198 0.9030  1 P 1.54
O 0.1783 0.5530 0.1060  1 P 1.51
O 0.2107 0.0126 0.1040  1 P 1.52
O 0.2143 0.6286 0.9728  2 P 1.58-1.59
O 0.2158 0.1309 0.5053  2 P 1.61
O 0.2274 0.1793 0.3211  1 P 1.54
O 0.2452 0.1167 0.0547  2 P 1.63-1.64
O 0.2882 0.0728 0.7083  1 P 1.52
O 0.3125 0.7076 0.8746  1 P 1.50
O 0.3369 0.1873 0.9286  1 P 1.51
O 0.3490 0.7322 0.0867  1 P 1.54
O 0.3853 0.2190 0.1472  1 P 1.54
O 0.4070 0.5810 0.8208  1 P 1.52
O 0.4664 0.0571 0.3737  1 P 1.53
O 0.4726 0.5405 0.4070  1 P 1.51
O 0.4877 0.1709 0.7536  1 P 1.54

Values from the calculation:
energy of formation = -2.1293 eV per atom
size of the total moment = 5.0 μB per formula unit
total energy after the MP2020 corrections = -918.22 eV/cell
total DFT energy (no corrections) = -0.2354 Ha/atom


Na3NiO3 after structural relaxation. Source: the Materials Project database, functional PBE with a Hubbard U.

abc: 5.7568 5.8659 6.3503
angles: 64.65 89.17 85.88
With the nearest neighbours (Å) after each atom.
Space group P-1 (No. 2)
Unique sites:
Na 0.0604 0.2684 0.4449  4 O 2.30-2.50
Na 0.1416 0.2628 0.9814  4 O 2.26-2.50
Na 0.4362 0.7601 0.7447  5 O 2.34-2.56
Ni 0.3708 0.6868 0.3127  4 O 1.82-1.99
O 0.2415 0.5991 0.0996  1 Ni 1.82
O 0.2541 0.9686 0.3449  1 Ni 1.83
O 0.3078 0.4202 0.6282  2 Ni 1.90-1.99

Values from the calculation:
energy of formation = -1.3948 eV per atom
total energy after the MP2020 corrections = -68.71 eV/cell
total DFT energy (no corrections) = -0.1562 Ha/atom


LiMnF4 after structural relaxation. Source: the Materials Project database, functional PBE with a Hubbard U.

abc: 6.3316 6.3815 6.8459
angles: 90.00 90.00 90.00
With the nearest neighbours (Å) after each atom.
Space group Pnma (No. 62)
Unique sites:
Li 0.2422 0.2500 0.2356  6 F 2.01-2.25
Mn 0.0075 0.2500 0.7501  6 F 1.86-2.06
F 0.0074 0.5407 0.7504  1 Mn 1.86, 2 Li 2.07-2.08
F 0.2430 0.7500 0.0634  2 Mn 2.03-2.04, 1 Li 2.25
F 0.2431 0.7500 0.4426  1 Li 2.01, 2 Mn 2.06

Values from the calculation:
energy of formation = -2.9154 eV per atom
size of the total moment = 4.0 μB per formula unit
total energy after the MP2020 corrections = -144.89 eV/cell
total DFT energy (no corrections) = -0.2003 Ha/atom


Al4Co3O12 after structural relaxation. Source: the Materials Project database, functional PBE with a Hubbard U.

abc: 9.9624 5.7496 13.9092
angles: 90.00 90.34 90.00
With the nearest neighbours (Å) after each atom.
Space group Cm (No. 8)
Unique sites:
Al 0.0000 0.0000 0.0000  6 O 1.91-1.93
Al 0.0010 0.5000 0.5012  6 O 1.87-2.00
Al 0.0819 0.2521 0.8320  6 O 1.86-1.99
Al 0.2498 0.2514 0.4998  6 O 1.88-1.99
Al 0.4187 0.2463 0.1701  6 O 1.88-1.98
Co 0.1630 0.5000 0.0408  4 O 1.83-1.98
Co 0.1685 0.5000 0.2848  4 O 1.69-1.88
Co 0.1695 0.5000 0.6619  6 O 1.85-2.04
Co 0.3253 0.0000 0.7082  4 O 1.83-1.96
Co 0.3361 0.0000 0.9622  4 O 1.85-1.93
Co 0.4983 0.5000 0.3819  4 O 1.81-1.86
O 0.0119 0.0000 0.7644  2 Al 1.86
O 0.0120 0.5000 0.7544  2 Al 1.92, 2 Co 1.96-2.04
O 0.0669 0.2428 0.0808  1 Co 1.85, 2 Al 1.91-1.93
O 0.0963 0.2865 0.5769  1 Co 1.85, 2 Al 1.87-1.88
O 0.1535 0.5000 0.9096  1 Co 1.83, 2 Al 1.92
O 0.1536 0.0000 0.9159  1 Co 1.93, 3 Al 1.93-1.99
O 0.1659 0.5000 0.4202  1 Co 1.88, 3 Al 1.99-2.00
O 0.1688 0.0000 0.4288  1 Co 1.82, 2 Al 1.93
O 0.2288 0.2558 0.7456  2 Co 1.83-1.92, 1 Al 1.90
O 0.2562 0.2681 0.2447  1 Co 1.69
O 0.3116 0.5000 0.5763  1 Co 1.86, 2 Al 1.88
O 0.3340 0.0000 0.5688  3 Al 1.92, 1 Co 1.94
O 0.3427 0.0000 0.0955  1 Co 1.85, 2 Al 1.91
O 0.3512 0.5000 0.0871  3 Al 1.92-1.98, 1 Co 1.98
O 0.4160 0.2444 0.4300  1 Co 1.81, 2 Al 1.91-1.92
O 0.4329 0.2560 0.9199  1 Co 1.86, 2 Al 1.91-1.93
O 0.4851 0.5000 0.2483  1 Co 1.86, 2 Al 1.93
O 0.4947 0.0000 0.2408  1 Co 1.83, 2 Al 1.88

Values from the calculation:
energy of formation = -2.1417 eV per atom
size of the total moment = 11.0 μB per formula unit
total energy after the MP2020 corrections = -545.50 eV/cell
total DFT energy (no corrections) = -0.2383 Ha/atom


MgV12Zn6O24 after structural relaxation. Source: the Materials Project database, functional PBE with a Hubbard U.

abc: 6.0312 6.0626 15.1372
angles: 83.94 89.89 60.41
With the nearest neighbours (Å) after each atom.
Space group P1 (No. 1)
Unique sites:
Mg 0.0000 0.0000 0.0000  6 O 2.08-2.18
V 0.0011 0.4972 0.0230  5 O 1.96-2.20
V 0.0157 0.9527 0.1746  5 O 1.97-2.13
V 0.1294 0.2700 0.6639  6 O 2.03-2.09
V 0.2606 0.4959 0.4983  6 O 2.03-2.10
V 0.2606 0.9966 0.4977  6 O 2.02-2.09
V 0.3909 0.7227 0.3332  6 O 2.03-2.12
V 0.4981 0.0460 0.8245  5 O 1.99-2.22
V 0.5182 0.4550 0.1622  6 O 2.05-2.18
V 0.5211 0.9553 0.1737  6 O 2.09-2.22
V 0.7611 0.4974 0.4981  6 O 2.04-2.08
V 0.9873 0.0397 0.8248  6 O 2.08-2.23
V 0.9896 0.5496 0.8282  6 O 2.01-2.17
Zn 0.0419 0.4096 0.2910  4 O 1.99-2.03
Zn 0.4729 0.5899 0.7034  4 O 1.99-2.02
Zn 0.5032 0.5053 0.9450  3 O 1.95-1.96
Zn 0.5039 0.0025 0.0025  6 O 2.12-2.22
Zn 0.7341 0.0466 0.3753  4 O 2.00-2.02
Zn 0.7856 0.9499 0.6188  4 O 1.99-2.03
O 0.0806 0.3607 0.4262  3 V 2.03-2.09, 1 Zn 2.03
O 0.1035 0.8502 0.4208  1 Zn 2.02, 3 V 2.02-2.09
O 0.1313 0.6892 0.9227  1 Zn 1.96, 2 V 2.11-2.19, 1 Mg 2.13
O 0.1633 0.1889 0.9143  1 Zn 2.16, 3 V 2.17-2.28, 1 Mg 2.18
O 0.2067 0.0599 0.2528  1 Zn 2.00, 3 V 2.01-2.10
O 0.2145 0.6041 0.2461  1 Zn 1.99, 3 V 2.02-2.09
O 0.3000 0.3947 0.7517  1 Zn 2.01, 3 V 2.03-2.09
O 0.3083 0.9328 0.7492  3 V 2.01-2.09, 1 Zn 2.01
O 0.3268 0.8211 0.0899  3 V 2.10-2.19, 1 Mg 2.12, 1 Zn 2.22
O 0.3480 0.3145 0.0808  2 V 1.97-2.09, 1 Zn 2.14
O 0.4159 0.1418 0.5778  1 Zn 2.00, 3 V 2.04-2.10
O 0.4409 0.6329 0.5707  1 Zn 1.99, 3 V 2.04-2.09
O 0.5593 0.3905 0.4184  1 Zn 2.00, 3 V 2.03-2.07
O 0.5709 0.8419 0.4216  1 Zn 2.01, 3 V 2.04-2.12
O 0.6729 0.5930 0.2468  1 Zn 2.01, 3 V 2.03-2.10
O 0.6756 0.1601 0.9111  2 Zn 1.95-2.14, 2 V 2.07-2.15, 1 Mg 2.11
O 0.6866 0.6931 0.9203  2 Zn 1.95-2.17, 1 V 2.17
O 0.7033 0.1107 0.2409  3 V 1.97-2.09, 1 Zn 2.02
O 0.8069 0.8919 0.7541  3 V 1.99-2.08, 1 Zn 2.03
O 0.8413 0.3989 0.7501  3 V 2.02-2.09, 1 Zn 2.02
O 0.8421 0.3058 0.0779  2 V 1.96-2.18, 1 Mg 2.11
O 0.8445 0.8250 0.0849  3 V 2.06-2.22, 1 Mg 2.08, 1 Zn 2.12
O 0.9522 0.1524 0.5762  1 Zn 1.99, 3 V 2.05-2.09
O 0.9630 0.6013 0.5799  1 Zn 2.00, 3 V 2.03-2.08

Values from the calculation:
energy of formation = -2.2653 eV per atom
size of the total moment = 24.0 μB per formula unit
total energy after the MP2020 corrections = -334.32 eV/cell
total DFT energy (no corrections) = -0.2542 Ha/atom


Sr5Ca3Mn6Fe2O24 after structural relaxation. Source: the Materials Project database, functional PBE with a Hubbard U.

abc: 7.7464 7.7059 7.7518
angles: 90.00 90.00 90.00
With the nearest neighbours (Å) after each atom.
Space group Pm (No. 6)
Unique sites:
Sr 0.0000 0.0000 0.0000  12 O 2.73-2.77
Sr 0.9999 0.0000 0.4992  12 O 2.73-2.78
Sr 0.9999 0.5000 0.0000  12 O 2.73-2.77
Sr 0.0000 0.5000 0.4992  12 O 2.73-2.78
Sr 0.4993 0.0000 0.4991  12 O 2.73-2.76
Ca 0.4988 0.0000 0.0003  12 O 2.70-2.74
Ca 0.4989 0.5000 0.0005  12 O 2.69-2.72
Ca 0.4989 0.5000 0.4986  12 O 2.69-2.74
Mn 0.2510 0.2505 0.2491  6 O 1.92-1.94
Mn 0.2508 0.2505 0.7502  6 O 1.90-1.95
Mn 0.7477 0.2505 0.2492  6 O 1.91-1.95
Fe 0.7474 0.2506 0.7503  6 O 1.92-1.98
O 0.0000 0.2502 0.2493  2 Mn 1.94-1.95
O 0.0031 0.2505 0.7501  1 Mn 1.92, 1 Fe 1.98
O 0.2529 0.0000 0.2466  2 Mn 1.93
O 0.2533 0.0000 0.7524  2 Mn 1.93
O 0.2532 0.2529 0.4992  2 Mn 1.94-1.95
O 0.2555 0.5000 0.7498  2 Mn 1.92
O 0.2558 0.2503 0.9999  2 Mn 1.93-1.94
O 0.2557 0.5000 0.2494  2 Mn 1.92
O 0.4959 0.2523 0.7520  1 Mn 1.90, 1 Fe 1.95
O 0.4993 0.2529 0.2467  2 Mn 1.92
O 0.7441 0.2506 0.0032  1 Mn 1.91, 1 Fe 1.96
O 0.7437 0.5000 0.2491  2 Mn 1.92
O 0.7444 0.5000 0.7502  2 Fe 1.92
O 0.7463 0.0000 0.2468  2 Mn 1.93
O 0.7462 0.0000 0.7519  2 Fe 1.93
O 0.7460 0.2525 0.4960  1 Mn 1.91, 1 Fe 1.97

Values from the calculation:
energy of formation = -2.3812 eV per atom
total energy after the MP2020 corrections = -300.38 eV/cell
total DFT energy (no corrections) = -0.2475 Ha/atom